1.
The following is a PBE+U calculation of Rb2Cr3O10 after structural relaxation, from Materials Project.

Calculated values
SG: Pbca (61)
Calculated density, g/cm3: 3.03
Total magnetization, μB per atom: 0.00
ΔH_f (0 K), kJ/mol of formula units: -2636

POSCAR file:
```
Rb2Cr3O10
1.0
9.4848 0.0000 0.0000
0.0000 19.2582 0.0000
0.0000 0.0000 11.6718
Rb Cr O
16 24 80
direct
0.1523 0.0839 0.0478 Rb
0.1523 0.4161 0.5478 Rb
0.2187 0.6824 0.7245 Rb
0.2187 0.8176 0.2245 Rb
0.2813 0.1824 0.7245 Rb
0.2813 0.3176 0.2245 Rb
0.3477 0.5839 0.0478 Rb
0.3477 0.9161 0.5478 Rb
0.6523 0.0839 0.4522 Rb
0.6523 0.4161 0.9522 Rb
0.7187 0.6824 0.7755 Rb
0.7187 0.8176 0.2755 Rb
0.7813 0.1824 0.7755 Rb
0.7813 0.3176 0.2755 Rb
0.8477 0.5839 0.4522 Rb
0.8477 0.9161 0.9522 Rb
0.0099 0.5261 0.8060 Cr
0.0099 0.9739 0.3060 Cr
0.0116 0.2329 0.4960 Cr
0.0116 0.2671 0.9960 Cr
0.2081 0.1122 0.3718 Cr
0.2081 0.3878 0.8718 Cr
0.2919 0.6122 0.3718 Cr
0.2919 0.8878 0.8718 Cr
0.4884 0.7329 0.4960 Cr
0.4884 0.7671 0.9960 Cr
0.4901 0.0261 0.8060 Cr
0.4901 0.4739 0.3060 Cr
0.5099 0.5261 0.6940 Cr
0.5099 0.9739 0.1940 Cr
0.5116 0.2329 0.0040 Cr
0.5116 0.2671 0.5040 Cr
0.7081 0.1122 0.1282 Cr
0.7081 0.3878 0.6282 Cr
0.7919 0.6122 0.1282 Cr
0.7919 0.8878 0.6282 Cr
0.9884 0.7329 0.0040 Cr
0.9884 0.7671 0.5040 Cr
0.9901 0.0261 0.6940 Cr
0.9901 0.4739 0.1940 Cr
0.0088 0.5570 0.6760 O
0.0088 0.9430 0.1760 O
0.0245 0.2403 0.1280 O
0.0245 0.2597 0.6280 O
0.0543 0.2054 0.9065 O
0.0543 0.2946 0.4065 O
0.0807 0.0623 0.3033 O
0.0807 0.4377 0.8033 O
0.1099 0.5742 0.8870 O
0.1099 0.9258 0.3870 O
0.1357 0.1607 0.4832 O
0.1357 0.3393 0.9832 O
0.1490 0.7079 0.0300 O
0.1490 0.7921 0.5300 O
0.1503 0.0237 0.6443 O
0.1503 0.4763 0.1443 O
0.1676 0.5647 0.4239 O
0.1676 0.9353 0.9239 O
0.2289 0.6635 0.2760 O
0.2289 0.8365 0.7760 O
0.2711 0.1635 0.2760 O
0.2711 0.3365 0.7760 O
0.3324 0.0647 0.4239 O
0.3324 0.4353 0.9239 O
0.3497 0.5237 0.6443 O
0.3497 0.9763 0.1443 O
0.3510 0.2079 0.0300 O
0.3510 0.2921 0.5300 O
0.3643 0.6607 0.4832 O
0.3643 0.8393 0.9832 O
0.3901 0.0742 0.8870 O
0.3901 0.4258 0.3870 O
0.4193 0.5623 0.3033 O
0.4193 0.9377 0.8033 O
0.4457 0.7054 0.9065 O
0.4457 0.7946 0.4065 O
0.4755 0.7403 0.1280 O
0.4755 0.7597 0.6280 O
0.4912 0.0570 0.6760 O
0.4912 0.4430 0.1760 O
0.5088 0.5570 0.8240 O
0.5088 0.9430 0.3240 O
0.5245 0.2403 0.3720 O
0.5245 0.2597 0.8720 O
0.5543 0.2054 0.5935 O
0.5543 0.2946 0.0935 O
0.5807 0.0623 0.1967 O
0.5807 0.4377 0.6967 O
0.6099 0.5742 0.6130 O
0.6099 0.9258 0.1130 O
0.6357 0.1607 0.0168 O
0.6357 0.3393 0.5168 O
0.6490 0.7079 0.4700 O
0.6490 0.7921 0.9700 O
0.6503 0.0237 0.8557 O
0.6503 0.4763 0.3557 O
0.6676 0.5647 0.0761 O
0.6676 0.9353 0.5761 O
0.7289 0.6635 0.2240 O
0.7289 0.8365 0.7240 O
0.7711 0.1635 0.2240 O
0.7711 0.3365 0.7240 O
0.8324 0.0647 0.0761 O
0.8324 0.4353 0.5761 O
0.8497 0.5237 0.8557 O
0.8497 0.9763 0.3557 O
0.8510 0.2079 0.4700 O
0.8510 0.2921 0.9700 O
0.8643 0.6607 0.0168 O
0.8643 0.8393 0.5168 O
0.8901 0.0742 0.6130 O
0.8901 0.4258 0.1130 O
0.9193 0.5623 0.1967 O
0.9193 0.9377 0.6967 O
0.9457 0.7054 0.5935 O
0.9457 0.7946 0.0935 O
0.9755 0.7403 0.3720 O
0.9755 0.7597 0.8720 O
0.9912 0.0570 0.8240 O
0.9912 0.4430 0.3240 O
```

---

2.
The following is a PBE+U calculation of Li5Fe4P4O16F after structural relaxation, from Materials Project.

Calculated values
SG: I-4 (82)
Calculated density, g/cm3: 3.30
Total magnetization, μB per atom: 0.53
ΔH_f (0 K), kJ/mol of formula units: -7084

POSCAR file:
```
Li5Fe4P4O16F
1.0
-5.5613 5.5613 2.6719
5.5613 -5.5613 2.6719
5.5613 5.5613 -2.6719
Li Fe P O F
5 4 4 16 1
direct
0.0000 0.0000 0.0000 Li
0.1674 0.4962 0.5522 Li
0.3849 0.8326 0.3288 Li
0.5038 0.0560 0.6712 Li
0.9440 0.6151 0.4478 Li
0.3054 0.5845 0.9577 Fe
0.4155 0.3731 0.7208 Fe
0.6269 0.3477 0.0423 Fe
0.6523 0.6946 0.2792 Fe
0.0592 0.7111 0.8384 P
0.2889 0.1274 0.3481 P
0.7792 0.9408 0.6519 P
0.8726 0.2208 0.1616 P
0.0055 0.8841 0.2041 O
0.0744 0.2662 0.7289 O
0.1110 0.6678 0.6761 O
0.1159 0.3200 0.1214 O
0.1747 0.7058 0.9913 O
0.1987 0.9945 0.8786 O
0.2942 0.2855 0.4689 O
0.3322 0.0083 0.4433 O
0.5373 0.3456 0.2711 O
0.5651 0.8890 0.5567 O
0.6544 0.9256 0.1918 O
0.6800 0.8013 0.7959 O
0.7145 0.1834 0.0087 O
0.7338 0.4627 0.8082 O
0.8166 0.8253 0.5311 O
0.9917 0.4349 0.3239 O
0.5000 0.5000 0.0000 F
```

---

3.
The following is a PBE+U calculation of TmCrO3 after structural relaxation, from Materials Project.

Calculated values
SG: Pnma (62)
Calculated density, g/cm3: 8.06
ΔH_f (0 K), kJ/mol of formula units: -1567

POSCAR file:
```
TmCrO3
1.0
5.5662 0.0000 0.0000
0.0000 7.5940 0.0000
0.0000 0.0000 5.2455
Tm Cr O
4 4 12
direct
0.0696 0.2500 0.0207 Tm
0.4304 0.7500 0.5207 Tm
0.5696 0.2500 0.4793 Tm
0.9304 0.7500 0.9793 Tm
0.0000 0.0000 0.5000 Cr
0.0000 0.5000 0.5000 Cr
0.5000 0.0000 0.0000 Cr
0.5000 0.5000 0.0000 Cr
0.0478 0.7500 0.3789 O
0.1947 0.5615 0.8103 O
0.1947 0.9385 0.8103 O
0.3053 0.0615 0.3103 O
0.3053 0.4385 0.3103 O
0.4522 0.2500 0.8789 O
0.5478 0.7500 0.1211 O
0.6947 0.5615 0.6897 O
0.6947 0.9385 0.6897 O
0.8053 0.0615 0.1897 O
0.8053 0.4385 0.1897 O
0.9522 0.2500 0.6211 O
```

---

4.
The following is a PBE+U calculation of Na4MgCo2O6 after structural relaxation, from Materials Project.

Calculated values
SG: P1 (1)
Calculated density, g/cm3: 3.20
Total magnetization, μB per atom: 0.62
Energy above the most stable polymorph in this dataset, meV per atom: 0
ΔH_f (0 K), kJ/mol of formula units: -2136

POSCAR file:
```
Na4MgCo2O6
1.0
5.9901 0.0000 0.0000
-2.6585 5.3734 0.0000
-2.5727 -1.5144 5.3305
Na Mg Co O
4 1 2 6
direct
0.0000 0.0000 0.0000 Na
0.1111 0.1578 0.5150 Na
0.3359 0.6927 0.4031 Na
0.8392 0.6018 0.5024 Na
0.6769 0.2856 0.8106 Mg
0.3892 0.6248 0.8996 Co
0.5782 0.1011 0.2000 Co
0.0371 0.3570 0.8054 O
0.3506 0.9402 0.8281 O
0.4186 0.1207 0.3882 O
0.5886 0.5776 0.7594 O
0.6502 0.8149 0.2460 O
0.8807 0.3634 0.2022 O
```

---

5.
The following is a PBE+U calculation of LiZn2Fe4O8 after structural relaxation, from Materials Project.

Calculated values
SG: C2/m (12)
Calculated density, g/cm3: 5.20
Total magnetization, μB per atom: 1.27
Energy above the most stable polymorph in this dataset, meV per atom: 51
ΔH_f (0 K), kJ/mol of formula units: -2263

POSCAR file:
```
LiZn2Fe4O8
1.0
5.0866 -2.9710 0.0000
5.0866 2.9710 0.0000
-3.4365 0.0000 5.1664
Li Zn Fe O
1 2 4 8
direct
0.0000 0.0000 0.0000 Li
0.5000 0.5000 0.0000 Zn
0.5000 0.5000 0.5000 Zn
0.0000 0.5000 0.0000 Fe
0.1409 0.1409 0.4372 Fe
0.5000 0.0000 0.0000 Fe
0.8591 0.8591 0.5628 Fe
0.2398 0.7511 0.2489 O
0.2433 0.2433 0.2438 O
0.2489 0.7602 0.7511 O
0.2634 0.2634 0.8013 O
0.7366 0.7366 0.1987 O
0.7511 0.2398 0.2489 O
0.7567 0.7567 0.7562 O
0.7602 0.2489 0.7511 O
```

---

6.
The following is a PBE+U calculation of Mn2O3 after structural relaxation, from Materials Project.

Calculated values
SG: P-1 (2)
Calculated density, g/cm3: 4.98
Total magnetization, μB per atom: 1.60
ΔH_f (0 K), kJ/mol of formula units: -934

POSCAR file:
```
Mn2O3
1.0
10.4978 0.0000 0.0000
5.2485 9.1588 0.0000
0.0042 6.0554 8.7555
Mn O
32 48
direct
0.0000 0.0000 0.0000 Mn
0.0000 0.0000 0.5000 Mn
0.0000 0.5000 0.0000 Mn
0.0000 0.5000 0.5000 Mn
0.1105 0.2754 0.3379 Mn
0.1127 0.7544 0.3832 Mn
0.1307 0.2359 0.8789 Mn
0.1341 0.7534 0.8799 Mn
0.2489 0.5038 0.7461 Mn
0.2504 0.4984 0.2545 Mn
0.2512 0.0002 0.2556 Mn
0.2642 0.9782 0.7865 Mn
0.3614 0.2467 0.6184 Mn
0.3661 0.7726 0.6176 Mn
0.3810 0.2502 0.1187 Mn
0.3861 0.7318 0.1525 Mn
0.5000 0.0000 0.0000 Mn
0.5000 0.0000 0.5000 Mn
0.5000 0.5000 0.0000 Mn
0.5000 0.5000 0.5000 Mn
0.6139 0.2682 0.8475 Mn
0.6190 0.7498 0.8813 Mn
0.6339 0.2274 0.3824 Mn
0.6386 0.7533 0.3816 Mn
0.7358 0.0218 0.2135 Mn
0.7488 0.9998 0.7444 Mn
0.7496 0.5016 0.7455 Mn
0.7511 0.4962 0.2539 Mn
0.8659 0.2466 0.1201 Mn
0.8693 0.7641 0.1211 Mn
0.8873 0.2456 0.6168 Mn
0.8895 0.7246 0.6621 Mn
0.0089 0.9996 0.8188 O
0.0211 0.7824 0.5521 O
0.0406 0.2747 0.6768 O
0.0544 0.2213 0.2032 O
0.0632 0.7093 0.0818 O
0.0782 0.4801 0.8054 O
0.1601 0.3583 0.4429 O
0.1831 0.8687 0.6759 O
0.2000 0.9746 0.0051 O
0.2152 0.3624 0.1945 O
0.2234 0.8385 0.4310 O
0.2266 0.4850 0.5741 O
0.2747 0.5229 0.9161 O
0.2803 0.1554 0.0788 O
0.2827 0.6457 0.2955 O
0.3006 0.0381 0.4441 O
0.3182 0.1566 0.8201 O
0.3301 0.6700 0.0268 O
0.4270 0.5116 0.7020 O
0.4372 0.7912 0.2838 O
0.4384 0.2884 0.4295 O
0.4503 0.0068 0.6766 O
0.4787 0.7033 0.8184 O
0.4950 0.1992 0.9765 O
0.5050 0.8008 0.0235 O
0.5213 0.2967 0.1816 O
0.5497 0.9932 0.3234 O
0.5616 0.7116 0.5705 O
0.5628 0.2088 0.7162 O
0.5730 0.4884 0.2980 O
0.6699 0.3300 0.9732 O
0.6818 0.8434 0.1799 O
0.6994 0.9619 0.5559 O
0.7173 0.3543 0.7045 O
0.7197 0.8446 0.9212 O
0.7253 0.4771 0.0839 O
0.7734 0.5150 0.4259 O
0.7766 0.1615 0.5690 O
0.7848 0.6376 0.8055 O
0.8000 0.0254 0.9949 O
0.8169 0.1313 0.3241 O
0.8399 0.6417 0.5571 O
0.9218 0.5199 0.1946 O
0.9368 0.2907 0.9182 O
0.9456 0.7787 0.7968 O
0.9594 0.7253 0.3232 O
0.9789 0.2176 0.4479 O
0.9911 0.0004 0.1812 O
```

---

7.
The following is a PBE+U calculation of Na3Co4O8 after structural relaxation, from Materials Project.

Calculated values
SG: Pmmn (59)
Calculated density, g/cm3: 4.67
Energy above the most stable polymorph in this dataset, meV per atom: 0
ΔH_f (0 K), kJ/mol of formula units: -2189

POSCAR file:
```
Na3Co4O8
1.0
2.8797 0.0000 0.0000
0.0000 10.8868 0.0000
0.0000 0.0000 9.8156
Na Co O
6 8 16
direct
0.2500 0.2500 0.0082 Na
0.2500 0.7500 0.3560 Na
0.2500 0.7500 0.6954 Na
0.7500 0.2500 0.3046 Na
0.7500 0.2500 0.6440 Na
0.7500 0.7500 0.9918 Na
0.2500 0.0052 0.3763 Co
0.2500 0.4948 0.3763 Co
0.2500 0.5020 0.8741 Co
0.2500 0.9980 0.8741 Co
0.7500 0.0020 0.1259 Co
0.7500 0.4980 0.1259 Co
0.7500 0.5052 0.6237 Co
0.7500 0.9948 0.6237 Co
0.2500 0.0858 0.7077 O
0.2500 0.0976 0.2080 O
0.2500 0.4024 0.2080 O
0.2500 0.4142 0.7077 O
0.2500 0.5884 0.0434 O
0.2500 0.5918 0.5371 O
0.2500 0.9082 0.5371 O
0.2500 0.9116 0.0434 O
0.7500 0.0884 0.9566 O
0.7500 0.0918 0.4629 O
0.7500 0.4082 0.4629 O
0.7500 0.4116 0.9566 O
0.7500 0.5858 0.2923 O
0.7500 0.5976 0.7920 O
0.7500 0.9024 0.7920 O
0.7500 0.9142 0.2923 O
```

---

8.
The following is a PBE+U calculation of Li11Mn12B12O36 after structural relaxation, from Materials Project.

Calculated values
SG: P1 (1)
Calculated density, g/cm3: 3.17
Total magnetization, μB per atom: 0.83
Energy above the most stable polymorph in this dataset, meV per atom: 0
ΔH_f (0 K), kJ/mol of formula units: -17064

POSCAR file:
```
Li11Mn12B12O36
1.0
9.1001 0.0000 0.0000
4.5227 7.9128 0.0000
4.5120 -2.2163 10.5005
Li Mn B O
11 12 12 36
direct
0.0000 0.0000 0.0000 Li
0.0107 0.5008 0.5006 Li
0.2649 0.2037 0.2510 Li
0.2914 0.7038 0.7528 Li
0.3340 0.3333 0.0015 Li
0.3457 0.8331 0.4973 Li
0.6014 0.5361 0.2479 Li
0.6266 0.0362 0.7516 Li
0.6773 0.1673 0.5005 Li
0.9288 0.8702 0.2495 Li
0.9600 0.3717 0.7520 Li
0.0158 0.6550 0.9652 Mn
0.0247 0.8273 0.4668 Mn
0.2940 0.5287 0.2160 Mn
0.3095 0.3581 0.7156 Mn
0.3603 0.1583 0.4654 Mn
0.3716 0.9814 0.9693 Mn
0.6260 0.8572 0.2105 Mn
0.6417 0.6907 0.7198 Mn
0.6894 0.3441 0.9655 Mn
0.6923 0.4940 0.4662 Mn
0.9636 0.1915 0.2154 Mn
0.9749 0.0289 0.7171 Mn
0.0270 0.1596 0.4591 B
0.0435 0.3158 0.9569 B
0.2975 0.8553 0.2149 B
0.3163 0.0178 0.7090 B
0.3596 0.6594 0.9585 B
0.3612 0.4921 0.4585 B
0.6358 0.1865 0.2080 B
0.6467 0.3534 0.7087 B
0.6944 0.8257 0.4583 B
0.6998 0.0031 0.9614 B
0.9691 0.5187 0.2092 B
0.9797 0.6859 0.7092 B
0.0907 0.1644 0.0046 O
0.0916 0.0062 0.5037 O
0.1127 0.2534 0.4436 O
0.1166 0.6313 0.7553 O
0.1513 0.4146 0.1953 O
0.1620 0.3828 0.9272 O
0.1699 0.8000 0.2508 O
0.1926 0.7492 0.9467 O
0.2102 0.5518 0.4258 O
0.2410 0.1807 0.6761 O
0.2468 0.0158 0.1785 O
0.2531 0.9122 0.6943 O
0.4083 0.5050 0.0041 O
0.4259 0.3379 0.5023 O
0.4459 0.5859 0.4452 O
0.4552 0.9643 0.7519 O
0.4688 0.7563 0.2160 O
0.4822 0.7181 0.9221 O
0.5091 0.1309 0.2516 O
0.5364 0.0873 0.9456 O
0.5449 0.8838 0.4240 O
0.5702 0.5160 0.6768 O
0.5789 0.3500 0.1756 O
0.5861 0.2456 0.6939 O
0.7489 0.8540 0.0118 O
0.7586 0.6726 0.5032 O
0.7786 0.9206 0.4442 O
0.7851 0.3013 0.7520 O
0.8179 0.0824 0.1941 O
0.8212 0.0649 0.9255 O
0.8426 0.4630 0.2524 O
0.8756 0.2184 0.4272 O
0.8867 0.4010 0.9365 O
0.9047 0.8498 0.6790 O
0.9117 0.6814 0.1760 O
0.9221 0.5779 0.6904 O
```

---

calculated density of number 3 (TmCrO3)?
8.06 g/cm3